Here is a relaxed Dy6Ta4Al43 crystal from the Materials Project database. Energies are from meta-GGA r2SCAN.

Cell lengths 11.0202, 11.0202, 17.7470 Å; angles 90.00, 90.00, 120.00 degrees
Sites, in units of the cell vectors:
Dy 0.5312 0.0000 0.5963
Dy 0.4688 0.0000 0.4037
Dy 0.0000 0.5312 0.5963
Dy 0.4688 0.0000 0.0963
Dy 0.0000 0.5312 0.9037
Dy 0.0000 0.4688 0.4037
Dy 0.5312 0.0000 0.9037
Dy 0.0000 0.4688 0.0963
Dy 0.4688 0.4688 0.5963
Dy 0.5312 0.5312 0.4037
Dy 0.5312 0.5312 0.0963
Dy 0.4688 0.4688 0.9037
Ta 0.0000 0.0000 0.5000
Ta 0.0000 0.0000 0.0000
Ta 0.7263 0.0000 0.7500
Ta 0.2737 0.0000 0.2500
Ta 0.0000 0.7263 0.7500
Ta 0.0000 0.2737 0.2500
Ta 0.2737 0.2737 0.7500
Ta 0.7263 0.7263 0.2500
Al 0.1531 0.5970 0.7500
Al 0.8469 0.4030 0.2500
Al 0.4030 0.5561 0.7500
Al 0.5970 0.1531 0.7500
Al 0.5970 0.4439 0.2500
Al 0.4030 0.8469 0.2500
Al 0.4439 0.8469 0.7500
Al 0.5561 0.4030 0.7500
Al 0.5561 0.1531 0.2500
Al 0.4439 0.5971 0.2500
Al 0.8469 0.4439 0.7500
Al 0.1531 0.5561 0.2500
Al 0.1590 0.0000 0.1152
Al 0.8410 0.0000 0.8848
Al 0.0000 0.1590 0.1152
Al 0.8410 0.0000 0.6153
Al 0.0000 0.1590 0.3848
Al 0.0000 0.8410 0.8847
Al 0.1589 0.0000 0.3848
Al 0.0000 0.8410 0.6153
Al 0.8410 0.8410 0.1152
Al 0.1590 0.1590 0.8848
Al 0.1590 0.1590 0.6153
Al 0.8410 0.8410 0.3848
Al 0.2474 0.4947 0.5000
Al 0.7526 0.5053 0.5000
Al 0.5053 0.7526 0.5000
Al 0.7526 0.5053 0.0000
Al 0.4947 0.2474 0.0000
Al 0.4947 0.2474 0.5000
Al 0.2474 0.4947 0.0000
Al 0.5053 0.7526 0.0000
Al 0.2474 0.7526 0.5000
Al 0.7526 0.2474 0.5000
Al 0.7526 0.2474 0.0000
Al 0.2474 0.7526 0.0000
Al 0.1483 0.0000 0.7500
Al 0.8517 0.0000 0.2500
Al 0.0000 0.1483 0.7500
Al 0.0000 0.8517 0.2500
Al 0.8517 0.8517 0.7500
Al 0.1483 0.1483 0.2500
Al 0.3333 0.6667 0.6246
Al 0.6667 0.3333 0.3754
Al 0.6667 0.3333 0.1246
Al 0.6667 0.3333 0.8754
Al 0.3333 0.6667 0.8754
Al 0.3333 0.6667 0.1246
Al 0.3333 0.6667 0.3754
Al 0.6667 0.3333 0.6246
Al 0.2550 0.0000 0.5295
Al 0.7450 0.0000 0.4705
Al 0.0000 0.2550 0.5295
Al 0.7450 0.0000 0.0295
Al 0.0000 0.2550 0.9705
Al 0.0000 0.7450 0.4705
Al 0.2550 0.0000 0.9705
Al 0.0000 0.7450 0.0295
Al 0.7450 0.7450 0.5295
Al 0.2550 0.2550 0.4705
Al 0.2550 0.2550 0.0295
Al 0.7450 0.7450 0.9705
Al 0.1582 0.3950 0.6626
Al 0.8418 0.6051 0.3374
Al 0.6051 0.7632 0.6626
Al 0.8418 0.6051 0.1626
Al 0.3950 0.1582 0.8374
Al 0.3949 0.2368 0.3374
Al 0.1582 0.3949 0.8374
Al 0.6051 0.8418 0.1626
Al 0.2368 0.8418 0.6626
Al 0.3949 0.2368 0.1626
Al 0.7632 0.6051 0.8374
Al 0.7632 0.1582 0.3374
Al 0.6051 0.7632 0.8374
Al 0.2368 0.3949 0.1626
Al 0.6051 0.8418 0.3374
Al 0.3950 0.1582 0.6626
Al 0.7632 0.1582 0.1626
Al 0.2368 0.3949 0.3374
Al 0.2368 0.8418 0.8374
Al 0.7632 0.6051 0.6626
Al 0.8418 0.2368 0.8374
Al 0.1582 0.7632 0.1626
Al 0.1582 0.7632 0.3374
Al 0.8418 0.2368 0.6626

Results
electronic total energy = -1387.33 eV for the cell shown
E_form = -338 meV per atom
space group = P6_3/mcm, No. 193
ρ = 5.09 Mg/m³
size of the total moment = 0.000 μB per atom